A plane-wave DFT calculation with GGA-PBE was carried out for an optimized crystal structure of SmSi2Ni.

Values from the calculation:
Symmetry: Cmcm, No. 63

Cell: 8.4438 8.4438 4.0462 Å, 90.00 90.00 151.89°
With the nearest neighbours (Å) after each atom.
Element x y z (fractional)
Ni1 0.8194 0.1806 0.2500  5 Si 2.30-2.34
Ni2 0.1806 0.8194 0.7500  5 Si 2.30-2.34
Si1 0.2502 0.7498 0.2500  4 Ni 2.32-2.34
Si2 0.7498 0.2502 0.7500  4 Ni 2.32-2.34
Si3 0.9596 0.0404 0.2500  1 Ni 2.30, 2 Si 2.42
Si4 0.0404 0.9596 0.7500  1 Ni 2.30, 2 Si 2.42
Sm1 0.3938 0.6062 0.7500  10 Si 3.08-3.16, 4 Ni 3.13
Sm2 0.6062 0.3938 0.2500  10 Si 3.08-3.16, 4 Ni 3.13

=====

A plane-wave DFT calculation with GGA-PBE was carried out for an optimized crystal structure of Nb17Ir3S40.

Values from the calculation:
Symmetry: C2/m, No. 12

Cell: 19.1178 19.1178 24.7261 Å, 50.30 50.30 10.32°
With the nearest neighbours (Å) after each atom.
Element x y z (fractional)
S1 0.3339 0.3339 0.2209  3 Nb 2.53-2.61
S2 0.1337 0.1337 0.1779  3 Nb 2.49-2.50
S3 0.8683 0.8683 0.0757  3 Nb 2.50-2.67
S4 0.0664 0.0664 0.1211  3 Nb 2.49-2.50
S5 0.5275 0.5275 0.0342  1 Nb 2.40, 2 Ir 2.43
S6 0.4665 0.4665 0.2217  3 Nb 2.49-2.50
S7 0.8662 0.8662 0.3211  3 Nb 2.50
S8 0.4675 0.4675 0.4680  3 Nb 2.40-2.52
S9 0.9332 0.9332 0.3784  3 Nb 2.49-2.50
S10 0.6661 0.6661 0.7791  3 Nb 2.53-2.61
S11 0.7337 0.7337 0.5787  3 Nb 2.48-2.50
S12 0.7329 0.7329 0.0788  3 Nb 2.48-2.50
S13 0.9336 0.9336 0.8789  3 Nb 2.49-2.50
S14 0.3336 0.3336 0.9792  3 Nb 2.49-2.50
S15 0.8663 0.8663 0.8221  3 Nb 2.49-2.50
S16 0.3336 0.3336 0.4779  3 Nb 2.48-2.50
S17 0.6707 0.6707 0.2789  2 Ir 2.40, 1 Nb 2.61
S18 0.1365 0.1365 0.4151  1 Ir 2.44, 2 Nb 2.54
S19 0.3293 0.3293 0.7211  2 Ir 2.40, 1 Nb 2.61
S20 0.6664 0.6664 0.0208  3 Nb 2.49-2.50
S21 0.2662 0.2662 0.1681  1 Ir 2.40, 2 Nb 2.46
S22 0.5337 0.5337 0.2782  3 Nb 2.49
S23 0.0636 0.0636 0.8723  1 Ir 2.46, 2 Nb 2.48
S24 0.9333 0.9333 0.6336  3 Nb 2.44-2.57
S25 0.5325 0.5325 0.5320  3 Nb 2.40-2.52
S26 0.1317 0.1317 0.9243  3 Nb 2.50-2.67
S27 0.2671 0.2671 0.9212  3 Nb 2.48-2.50
S28 0.2683 0.2683 0.6671  1 Nb 2.36, 2 Ir 2.41
S29 0.0668 0.0668 0.6216  3 Nb 2.49-2.50
S30 0.6664 0.6664 0.5221  3 Nb 2.48-2.50
S31 0.1338 0.1338 0.6789  3 Nb 2.50
S32 0.4725 0.4725 0.9658  1 Nb 2.40, 2 Ir 2.43
S33 0.9364 0.9364 0.1277  1 Ir 2.46, 2 Nb 2.48
S34 0.4663 0.4663 0.7218  3 Nb 2.49
S35 0.7317 0.7317 0.3329  1 Nb 2.36, 2 Ir 2.41
S36 0.2663 0.2663 0.4213  3 Nb 2.48-2.50
S37 0.0667 0.0667 0.3664  3 Nb 2.44-2.57
S38 0.8635 0.8635 0.5849  1 Ir 2.44, 2 Nb 2.54
S39 0.7338 0.7338 0.8319  1 Ir 2.40, 2 Nb 2.46
S40 0.5335 0.5335 0.7783  3 Nb 2.49-2.50
Nb1 0.2004 0.2004 0.5499  6 S 2.48-2.50
Nb2 0.9999 0.9999 0.7500  6 S 2.49-2.50
Nb3 0.0001 0.0001 0.2500  6 S 2.49-2.50
Nb4 0.7999 0.7999 0.9509  6 S 2.48-2.50
Nb5 0.0000 0.0000 0.5000  6 S 2.52-2.57
Nb6 0.3998 0.3998 0.8506  6 S 2.49-2.50
Nb7 0.5907 0.5907 0.9100  6 S 2.40-2.61
Nb8 0.7904 0.7904 0.2093  5 S 2.36-2.53
Nb9 0.3996 0.3996 0.3498  6 S 2.48-2.50
Nb10 0.6004 0.6004 0.6502  6 S 2.48-2.50
Nb11 0.7996 0.7996 0.4501  6 S 2.48-2.50
Nb12 0.4093 0.4093 0.0900  6 S 2.40-2.61
Nb13 0.5912 0.5912 0.4061  6 S 2.40-2.61
Nb14 0.2001 0.2001 0.0491  6 S 2.48-2.50
Nb15 0.4088 0.4088 0.5939  6 S 2.40-2.61
Nb16 0.6002 0.6002 0.1494  6 S 2.49-2.50
Nb17 0.2096 0.2096 0.7907  5 S 2.36-2.53
Ir1 0.2080 0.2080 0.2938  6 S 2.40-2.44
Ir2 0.7920 0.7920 0.7062  6 S 2.40-2.44
Ir3 0.0000 0.0000 0.0000  6 S 2.43-2.46

=====

A plane-wave DFT calculation with GGA-PBE was carried out for an optimized crystal structure of Co3W9C4.

Values from the calculation:
Symmetry: P6_3/mmc, No. 194

Cell: 7.8744 7.8744 7.6639 Å, 90.00 90.00 120.00°
With the nearest neighbours (Å) after each atom.
Element x y z (fractional)
C1 0.6667 0.3333 0.2500  6 W 2.21
C2 0.5000 0.0000 0.0000  2 Co 2.05, 4 W 2.12
C3 0.5000 0.5000 0.0000  2 Co 2.05, 4 W 2.12
C4 0.5000 0.0000 0.5000  2 Co 2.05, 4 W 2.12
C5 0.0000 0.5000 0.5000  2 Co 2.05, 4 W 2.12
C6 0.0000 0.5000 0.0000  2 Co 2.05, 4 W 2.12
C7 0.5000 0.5000 0.5000  2 Co 2.05, 4 W 2.12
C8 0.3333 0.6667 0.7500  6 W 2.21
W1 0.7827 0.8913 0.2500  8 W 2.57-2.82, 2 Co 2.65
W2 0.8913 0.7827 0.7500  8 W 2.57-2.82, 2 Co 2.65
W3 0.7926 0.5851 0.0675  3 C 2.12-2.21
W4 0.8913 0.1087 0.7500  8 W 2.57-2.82, 2 Co 2.65
W5 0.7926 0.5851 0.4325  3 C 2.12-2.21
W6 0.5851 0.7926 0.5675  3 C 2.12-2.21
W7 0.1087 0.8913 0.2500  8 W 2.57-2.82, 2 Co 2.65
W8 0.1087 0.2173 0.2500  8 W 2.57-2.82, 2 Co 2.65
W9 0.2074 0.7926 0.5675  3 C 2.12-2.21
W10 0.2074 0.4149 0.9325  3 C 2.12-2.21
W11 0.7926 0.2074 0.4325  3 C 2.12-2.21
W12 0.4149 0.2074 0.4325  3 C 2.12-2.21
W13 0.7926 0.2074 0.0675  3 C 2.12-2.21
W14 0.2074 0.7926 0.9325  3 C 2.12-2.21
W15 0.2074 0.4149 0.5675  3 C 2.12-2.21
W16 0.5851 0.7926 0.9325  3 C 2.12-2.21
W17 0.2173 0.1087 0.7500  8 W 2.57-2.82, 2 Co 2.65
W18 0.4149 0.2074 0.0675  3 C 2.12-2.21
Co1 0.4457 0.5543 0.2500  2 C 2.05
Co2 0.4457 0.8914 0.2500  2 C 2.05
Co3 0.8914 0.4457 0.7500  2 C 2.05
Co4 0.5543 0.4457 0.7500  2 C 2.05
Co5 0.1086 0.5543 0.2500  2 C 2.05
Co6 0.5543 0.1086 0.7500  2 C 2.05

=====

A plane-wave DFT calculation with GGA-PBE was carried out for an optimized crystal structure of LiScSn.

Values from the calculation:
Symmetry: F-43m, No. 216

Cell: 4.7738 4.7738 4.7738 Å, 60.00 60.00 60.00°
With the nearest neighbours (Å) after each atom.
Element x y z (fractional)
Li1 0.5000 0.5000 0.5000  4 Sc 2.92
Sn1 0.0000 0.0000 0.0000  4 Sc 2.92
Sc1 0.7500 0.7500 0.7500  4 Sn 2.92, 4 Li 2.92

=====

A plane-wave DFT calculation with GGA-PBE was carried out for an optimized crystal structure of YMg6SiO8.

Values from the calculation:
Symmetry: P4/mmm, No. 123
Energy above the lowest structure with this stoichiometry (kJ/mol of formula units): 0.0

Cell: 9.5389 4.3768 4.3768 Å, 90.00 90.00 90.00°
With the nearest neighbours (Å) after each atom.
Element x y z (fractional)
Y1 0.0000 0.0000 0.0000  4 O 2.19
O1 0.5000 0.5000 0.0000  6 Mg 2.13-2.19
O2 0.7428 0.0000 0.0000  5 Mg 2.20-2.32, 1 Y 2.45
O3 0.2572 0.0000 0.0000  5 Mg 2.20-2.32, 1 Y 2.45
O4 0.2897 0.5000 0.5000  5 Mg 2.01-2.19
O5 0.5000 0.0000 0.5000  6 Mg 2.13-2.19
O6 0.0000 0.5000 0.0000  2 Si 2.19, 2 Y 2.19
O7 0.7103 0.5000 0.5000  5 Mg 2.01-2.19
O8 0.0000 0.0000 0.5000  2 Si 2.19, 2 Y 2.19
Mg1 0.5000 0.0000 0.0000  6 O 2.19-2.32
Mg2 0.2767 0.0000 0.5000  5 O 2.13-2.20
Mg3 0.5000 0.5000 0.5000  6 O 2.01-2.19
Mg4 0.7233 0.0000 0.5000  5 O 2.13-2.20
Mg5 0.2767 0.5000 0.0000  5 O 2.13-2.20
Mg6 0.7233 0.5000 0.0000  5 O 2.13-2.20
Si1 0.0000 0.5000 0.5000  4 O 2.19

=====

A plane-wave DFT calculation with GGA-PBE was carried out for an optimized crystal structure of SrO10.

Values from the calculation:
Symmetry: P4/mmm, No. 123
Energy above the lowest structure with this stoichiometry (kJ/mol of formula units): 39.9

Cell: 5.7588 5.7588 5.0850 Å, 90.00 90.00 90.00°
With the nearest neighbours (Å) after each atom.
Element x y z (fractional)
O1 0.2875 0.7125 0.3742  1 O 1.28
O2 0.7125 0.2875 0.3742  1 O 1.28
O3 0.7125 0.2875 0.6258  1 O 1.28
O4 0.7125 0.7125 0.6258  1 O 1.28
O5 0.2875 0.2875 0.3742  1 O 1.28
O6 0.2875 0.7125 0.6258  1 O 1.28
O7 0.0000 0.0000 0.1235  1 O 1.26
O8 0.2875 0.2875 0.6258  1 O 1.28
O9 0.7125 0.7125 0.3742  1 O 1.28
O10 0.0000 0.0000 0.8765  1 O 1.26
Sr1 0.5000 0.5000 0.0000  8 O 2.57

=====

Number 1: ΔH_f (0 K) -0.8386 eV per atom. Number 2: ΔH_f (0 K) -1.1580 eV per atom. Number 3: ΔH_f (0 K) 0.2584 eV per atom. Number 4: ΔH_f (0 K) -0.0712 eV per atom. Number 5: ΔH_f (0 K) -2.6409 eV per atom. Number 6: ΔH_f (0 K) -0.5009 eV per atom.